No. 1
NbO2F PBE-GGA relaxed; largest piezoelectric modulus = 5.33 C/m2; space group = Cc, No. 9; DFT total energy = -8.19 eV/atom; calculated formation energy = -3.1674 eV per atom
1.0
9.318 0.000 0.000
0.000 5.555 0.000
-3.265 0.000 4.634
Nb O F
4 8 4
direct
0.000 0.220 0.000
0.000 0.780 0.500
0.500 0.280 0.500
0.500 0.720 0.000
0.038 0.043 0.758
0.038 0.957 0.258
0.250 0.321 0.272
0.250 0.679 0.772
0.538 0.457 0.258
0.538 0.543 0.758
0.750 0.179 0.772
0.750 0.821 0.272
0.460 0.039 0.766
0.460 0.961 0.266
0.960 0.461 0.266
0.960 0.539 0.766



No. 2
KRb2ScF6 PBE-GGA relaxed; total moment = 0.0 μB per formula unit; space group = P2_1/c, No. 14; DFT total energy = -5.38 eV/atom; calculated formation energy = -3.5705 eV per atom
1.0
6.447 0.000 0.000
0.000 6.514 0.000
-6.424 0.000 9.145
K Rb Sc F
2 4 2 12
direct
0.000 0.000 0.000
0.000 0.500 0.500
0.256 0.033 0.750
0.256 0.467 0.250
0.744 0.533 0.750
0.744 0.967 0.250
0.500 0.000 0.500
0.500 0.500 0.000
0.214 0.023 0.282
0.214 0.477 0.782
0.278 0.682 0.032
0.278 0.818 0.532
0.361 0.246 0.040
0.361 0.254 0.540
0.639 0.746 0.460
0.639 0.754 0.960
0.722 0.182 0.468
0.722 0.318 0.968
0.786 0.523 0.218
0.786 0.977 0.718



The lowest calculated formation energy belongs to which entry?
KRb2ScF6